Entry 1:
## NaMg6Cd (PBE)

Data for crystalline NaMg6Cd at its relaxed geometry.

Structure (POSCAR):
```
NaMg6Cd
1.0
-2.069 3.744 -3.031
-4.464 1.188 4.514
6.724 7.500 4.676
Na Mg Cd
2 12 2
Direct
0.000 0.500 0.333
0.000 0.000 0.833
0.000 0.251 0.083
0.000 0.749 0.083
0.000 0.500 0.834
0.500 0.252 0.917
0.500 0.748 0.917
0.500 0.500 0.667
0.000 0.751 0.583
0.000 0.249 0.583
0.000 0.000 0.334
0.500 0.752 0.417
0.500 0.248 0.417
0.500 0.000 0.167
0.500 0.500 0.166
0.500 0.000 0.666
```

Magnetization = 0.00 μB per formula unit
Final energy = -11.73 eV/f.u.


Entry 2:
## Ti5TlSe8 (PBE)

Data for crystalline Ti5TlSe8 at its relaxed geometry.

Structure (POSCAR):
```
Ti5TlSe8
1.0
9.451 -1.787 0.000
9.451 1.787 0.000
-2.320 0.000 8.949
Ti Tl Se
5 1 8
Direct
0.000 0.000 0.000
0.291 0.291 0.651
0.348 0.348 0.002
0.652 0.652 0.998
0.709 0.709 0.349
0.500 0.500 0.500
0.086 0.086 0.819
0.161 0.161 0.499
0.242 0.242 0.162
0.427 0.427 0.822
0.573 0.573 0.178
0.758 0.758 0.838
0.839 0.839 0.501
0.914 0.914 0.181
```

Final energy = -85.30 eV/f.u.
Crystal system = monoclinic
Symmetry = C2/m, No. 12